{
  "formula": "CeSe2",
  "functional": "PBE",
  "state": "relaxed",
  "e_form_kj_per_mol_fu": -403,
  "lattice_angstrom": [[9.271, -9.271, 0.000], [9.271, 9.271, 0.000], [-9.271, 0.000, 23.534]],
  "species": ["Ce", "Ce", "Ce", "Ce", "Ce", "Ce", "Ce", "Ce", "Ce", "Ce", "Ce", "Ce", "Ce", "Ce", "Ce", "Ce", "Se", "Se", "Se", "Se", "Se", "Se", "Se", "Se", "Se", "Se", "Se", "Se", "Se", "Se", "Se", "Se", "Se", "Se", "Se", "Se", "Se", "Se", "Se", "Se", "Se", "Se", "Se", "Se", "Se", "Se", "Se", "Se"],
  "frac_coords": [[0.434, 0.184, 0.250], [0.434, 0.566, 0.250], [0.184, 0.434, 0.750], [0.184, 0.816, 0.750], [0.816, 0.184, 0.250], [0.816, 0.566, 0.250], [0.566, 0.434, 0.750], [0.566, 0.816, 0.750], [0.986, 0.943, 0.387], [0.943, 0.986, 0.887], [0.943, 0.400, 0.887], [0.400, 0.943, 0.387], [0.014, 0.057, 0.613], [0.057, 0.014, 0.113], [0.057, 0.600, 0.113], [0.600, 0.057, 0.613], [0.437, 0.096, 0.337], [0.437, 0.741, 0.337], [0.096, 0.437, 0.837], [0.096, 0.899, 0.837], [0.899, 0.096, 0.337], [0.899, 0.741, 0.337], [0.741, 0.437, 0.837], [0.741, 0.899, 0.837], [0.563, 0.904, 0.663], [0.563, 0.259, 0.663], [0.904, 0.563, 0.163], [0.904, 0.101, 0.163], [0.101, 0.904, 0.663], [0.101, 0.259, 0.663], [0.259, 0.563, 0.163], [0.259, 0.101, 0.163], [0.132, 0.604, 0.709], [0.604, 0.132, 0.209], [0.604, 0.577, 0.209], [0.577, 0.604, 0.709], [0.868, 0.396, 0.291], [0.396, 0.868, 0.791], [0.396, 0.423, 0.791], [0.423, 0.396, 0.291], [0.190, 0.940, 0.381], [0.940, 0.190, 0.881], [0.810, 0.060, 0.619], [0.060, 0.810, 0.119], [0.000, 0.000, 0.500], [0.000, 0.000, 0.000], [0.000, 0.500, 0.000], [0.500, 0.000, 0.500]]
}